No. 1
Here is a relaxed structure of MgV2P2O10 from the Materials Project database. Energies are from PBE with a Hubbard U. Values from VASP.

Excess energy over the best structure of this formula in the dataset, meV per atom: 118

```
&SYSTEM
  ibrav = 0, nat = 15, ntyp = 4
/
ATOMIC_SPECIES
Mg 24.30 Mg.upf
V 50.94 V.upf
P 30.97 P.upf
O 16.00 O.upf
ATOMIC_POSITIONS crystal
Mg 0.500 0.750 0.250
V 0.746 0.750 0.750
V 0.254 0.250 0.250
P 0.000 0.250 0.750
P 0.000 0.750 0.250
O 0.840 0.451 0.699
O 0.840 0.049 0.801
O 0.812 0.701 0.068
O 0.812 0.799 0.432
O 0.188 0.568 0.299
O 0.188 0.932 0.201
O 0.160 0.301 0.951
O 0.160 0.199 0.549
O 0.442 0.750 0.750
O 0.558 0.250 0.250
CELL_PARAMETERS angstrom
4.644 -1.878 1.975
-0.130 4.346 4.437
-3.142 -3.874 3.703
```


No. 2
Here is a relaxed structure of MgV4P4O20 from the Materials Project database. Energies are from PBE with a Hubbard U. Values from VASP.

Excess energy over the best structure of this formula in the dataset, meV per atom: 78

```
&SYSTEM
  ibrav = 0, nat = 29, ntyp = 4
/
ATOMIC_SPECIES
Mg 24.30 Mg.upf
V 50.94 V.upf
P 30.97 P.upf
O 16.00 O.upf
ATOMIC_POSITIONS crystal
Mg 0.500 0.250 0.250
V 0.077 0.508 0.984
V 0.000 0.750 0.250
V 0.500 0.250 0.750
V 0.923 0.992 0.516
P 0.584 0.021 0.196
P 0.416 0.479 0.304
P 0.285 0.965 0.805
P 0.715 0.535 0.695
O 0.284 0.068 0.331
O 0.231 0.420 0.224
O 0.019 0.848 0.418
O 0.233 0.880 0.022
O 0.344 0.630 0.285
O 0.250 0.119 0.777
O 0.387 0.378 0.512
O 0.224 0.343 0.924
O 0.769 0.080 0.276
O 0.082 0.928 0.720
O 0.716 0.432 0.169
O 0.416 0.580 0.822
O 0.776 0.157 0.576
O 0.613 0.122 0.988
O 0.918 0.572 0.780
O 0.656 0.870 0.215
O 0.767 0.620 0.478
O 0.981 0.652 0.082
O 0.584 0.920 0.678
O 0.750 0.381 0.723
CELL_PARAMETERS angstrom
-3.856 -1.490 -3.143
3.163 -9.434 -2.977
-4.296 -5.068 3.255
```


No. 3
Here is a relaxed structure of MgV2P2O10 from the Materials Project database. Energies are from PBE with a Hubbard U. Values from VASP.

Excess energy over the best structure of this formula in the dataset, meV per atom: 129

```
&SYSTEM
  ibrav = 0, nat = 15, ntyp = 4
/
ATOMIC_SPECIES
Mg 24.30 Mg.upf
V 50.94 V.upf
P 30.97 P.upf
O 16.00 O.upf
ATOMIC_POSITIONS crystal
Mg 0.313 0.562 0.944
V 0.241 0.233 0.276
V 0.765 0.762 0.739
P 0.501 0.241 0.749
P 0.508 0.756 0.265
O 0.064 0.723 0.785
O 0.300 0.230 0.581
O 0.362 0.241 0.967
O 0.357 0.544 0.263
O 0.321 0.932 0.295
O 0.701 0.071 0.731
O 0.608 0.474 0.742
O 0.716 0.756 0.428
O 0.604 0.767 0.028
O 0.945 0.260 0.241
CELL_PARAMETERS angstrom
-3.140 -3.417 2.794
4.780 -4.079 0.455
1.935 2.642 5.388
```


Number 1: electronic total energy -108.607 eV per cell, energy of formation from the pure elements -2587 meV/atom. Number 2: electronic total energy -210.759 eV per cell, energy of formation from the pure elements -2509 meV/atom. Number 3: electronic total energy -108.444 eV per cell, energy of formation from the pure elements -2576 meV/atom.